Here is a geometry-optimized UFeC2 structure from the Materials Project database. Energies are from r²SCAN.

Cell: 3.4711 3.4711 7.6206 Å, 90.00 90.00 90.00°
Atoms (fractional coordinates):
U1 0.2500 0.2500 0.1741
U2 0.7500 0.7500 0.8259
Fe1 0.2500 0.7500 0.5000
Fe2 0.7500 0.2500 0.5000
C1 0.2500 0.2500 0.6705
C2 0.2500 0.2500 0.8620
C3 0.7500 0.7500 0.1380
C4 0.7500 0.7500 0.3295

Values from the calculation:
* SG: P4/nmm, No. 129
* E: -229.668 eV for the cell shown
* ΔH_f (0 K): -146.0 meV/atom



Here is a geometry-optimized CsFe2As2 structure from the Materials Project database. Energies are from r²SCAN.

Cell: 8.4169 8.4169 8.4169 Å, 154.80 154.80 35.93°
Atoms (fractional coordinates):
Cs1 0.0000 0.0000 0.0000
Fe1 0.2500 0.7500 0.5000
Fe2 0.7500 0.2500 0.5000
As1 0.3444 0.3444 0.0000
As2 0.6556 0.6556 0.0000

Values from the calculation:
* SG: I4/mmm, No. 139
* E: -84.423 eV for the cell shown
* ΔH_f (0 K): -214.6 meV/atom



Here is a geometry-optimized LiMg5 structure from the Materials Project database. Energies are from r²SCAN.

Cell: 5.4730 5.4730 5.0700 Å, 90.00 90.00 120.00°
Atoms (fractional coordinates):
Li1 0.0000 0.0000 0.0000
Mg1 0.0000 0.6714 0.5000
Mg2 0.3286 0.3286 0.5000
Mg3 0.3333 0.6667 0.0000
Mg4 0.6667 0.3333 0.0000
Mg5 0.6714 0.0000 0.5000

Values from the calculation:
* SG: P-62m, No. 189
* E: -23.324 eV for the cell shown
* ΔH_f (0 K): -15.1 meV/atom
* excess energy over the best structure of this formula in the dataset: 1 meV per atom



Here is a geometry-optimized LaAlAu structure from the Materials Project database. Energies are from r²SCAN.

Cell: 7.7803 4.6957 7.5478 Å, 90.00 90.00 90.00°
Atoms (fractional coordinates):
La1 0.0159 0.2500 0.1856
La2 0.4841 0.7500 0.6856
La3 0.5159 0.2500 0.3144
La4 0.9841 0.7500 0.8144
Al1 0.1715 0.2500 0.5856
Al2 0.3285 0.7500 0.0856
Al3 0.6715 0.2500 0.9144
Al4 0.8285 0.7500 0.4144
Au1 0.1867 0.7500 0.4074
Au2 0.3133 0.2500 0.9074
Au3 0.6867 0.7500 0.0926
Au4 0.8133 0.2500 0.5926

Values from the calculation:
* SG: Pnma, No. 62
* E: -357.984 eV for the cell shown
* ΔH_f (0 K): -811.4 meV/atom



Here is a geometry-optimized Ag3Hg structure from the Materials Project database. Energies are from r²SCAN.

Cell: 5.9029 5.9029 4.8666 Å, 90.00 90.00 120.00°
Atoms (fractional coordinates):
Ag1 0.1645 0.3290 0.2500
Ag2 0.1645 0.8355 0.2500
Ag3 0.3290 0.1645 0.7500
Ag4 0.6710 0.8355 0.2500
Ag5 0.8355 0.1645 0.7500
Ag6 0.8355 0.6710 0.7500
Hg1 0.3333 0.6667 0.7500
Hg2 0.6667 0.3333 0.2500

Values from the calculation:
* SG: P6_3/mmc, No. 194
* E: -226.701 eV for the cell shown
* ΔH_f (0 K): 21.2 meV/atom



Here is a geometry-optimized KCNO structure from the Materials Project database. Energies are from r²SCAN.

Cell: 5.5127 5.5127 5.5127 Å, 101.95 113.74 112.98°
Atoms (fractional coordinates):
K1 0.0000 0.0000 0.0000
K2 0.0000 0.5000 0.5000
C1 0.4923 0.2451 0.7472
C2 0.4979 0.7451 0.2528
N1 0.2145 0.1055 0.6090
N2 0.4966 0.6055 0.3910
O1 0.4972 0.8877 0.1096
O2 0.7781 0.3877 0.8904

Values from the calculation:
* SG: Ima2, No. 46
* E: -70.767 eV for the cell shown
* ΔH_f (0 K): -1079.2 meV/atom



Here is a geometry-optimized PuUC3 structure from the Materials Project database. Energies are from r²SCAN.

Cell: 7.0205 7.0205 7.0205 Å, 109.53 109.45 109.43°
Atoms (fractional coordinates):
Pu1 0.0000 0.4021 0.0002
Pu2 0.5000 0.5002 0.4021
Pu3 0.5981 0.0979 0.0979
Pu4 0.9019 0.9998 0.4998
U1 0.0002 0.9035 0.0001
U2 0.0966 0.5965 0.5967
U3 0.4034 0.0001 0.4999
U4 0.4998 0.4999 0.9033
C1 0.0433 0.2500 0.2933
C2 0.2186 0.2500 0.4686
C3 0.2500 0.0313 0.7813
C4 0.2500 0.2067 0.9567
C5 0.2814 0.7500 0.0314
C6 0.4567 0.7500 0.2067
C7 0.5312 0.7812 0.7500
C8 0.7064 0.9564 0.7500
C9 0.7500 0.2933 0.5433
C10 0.7500 0.4687 0.7187
C11 0.7936 0.5436 0.2500
C12 0.9688 0.7188 0.2500

Values from the calculation:
* SG: I2_12_12_1, No. 24
* E: -790.547 eV for the cell shown
* ΔH_f (0 K): -299.3 meV/atom



Here is a geometry-optimized Mn2PO5 structure from the Materials Project database. Energies are from r²SCAN.

Cell: 7.3076 7.3076 9.7405 Å, 117.44 117.44 52.93°
Atoms (fractional coordinates):
Mn1 0.0254 0.2458 0.8346
Mn2 0.1977 0.7172 0.5166
Mn3 0.2458 0.0254 0.3346
Mn4 0.2828 0.8023 0.9834
Mn5 0.7172 0.1977 0.0166
Mn6 0.7542 0.9746 0.6654
Mn7 0.8023 0.2828 0.4834
Mn8 0.9746 0.7542 0.1654
P1 0.2319 0.4081 0.6907
P2 0.4081 0.2319 0.1907
P3 0.5919 0.7681 0.8093
P4 0.7681 0.5919 0.3093
O1 0.0632 0.3510 0.6954
O2 0.0834 0.8864 0.1134
O3 0.0880 0.6421 0.6425
O4 0.1136 0.9166 0.3866
O5 0.2071 0.3743 0.0682
O6 0.3510 0.0632 0.1954
O7 0.3579 0.9120 0.8575
O8 0.3743 0.2071 0.5682
O9 0.3953 0.4421 0.8575
O10 0.4421 0.3953 0.3575
O11 0.5579 0.6047 0.6425
O12 0.6047 0.5579 0.1425
O13 0.6257 0.7929 0.4318
O14 0.6421 0.0880 0.1425
O15 0.6490 0.9368 0.8046
O16 0.7929 0.6257 0.9318
O17 0.8864 0.0834 0.6134
O18 0.9120 0.3579 0.3575
O19 0.9166 0.1136 0.8866
O20 0.9368 0.6490 0.3046

Values from the calculation:
* SG: C2/c, No. 15
* E: -347.044 eV for the cell shown
* ΔH_f (0 K): -2316.2 meV/atom
* excess energy over the best structure of this formula in the dataset: 6 meV per atom



What is the formula in the eighth record? Mn2PO5



Look up the ΔH_f (0 K) of the third one. -15.1 meV/atom



Look up the E of the first one. -229.668 eV for the cell shown



Which formula does entry 7 have? PuUC3